Record 1
## Li3TiS3 (PBE-GGA)

Data for a relaxed structure of Li3TiS3.

```
data_Li3TiS3
_chemical_formula_sum 'Li6 Ti2 S6'
_cell_length_a 6.962
_cell_length_b 6.962
_cell_length_c 5.915
_cell_angle_alpha 73.76
_cell_angle_beta 73.76
_cell_angle_gamma 113.24
_symmetry_space_group_name_H-M 'P 1'
_symmetry_Int_Tables_number 1
loop_
_symmetry_equiv_pos_as_xyz
'x,y,z'
loop_
_atom_site_label
_atom_site_type_symbol
_atom_site_fract_x
_atom_site_fract_y
_atom_site_fract_z
_atom_site_occupancy
S1 S 0.359 0.173 0.075 1
S2 S 0.827 0.641 0.425 1
S3 S 0.824 0.176 0.250 1
S4 S 0.641 0.827 0.925 1
S5 S 0.173 0.359 0.575 1
S6 S 0.176 0.824 0.750 1
Ti1 Ti 0.000 0.000 0.000 1
Ti2 Ti 0.000 0.000 0.500 1
Li1 Li 0.462 0.538 0.750 1
Li2 Li 0.554 0.099 0.701 1
Li3 Li 0.099 0.554 0.201 1
Li4 Li 0.901 0.446 0.799 1
Li5 Li 0.538 0.462 0.250 1
Li6 Li 0.446 0.901 0.299 1
```

## Properties
The symmetry is C2/c. The magnetization comes out at 0.3 μB/f.u. For the total energy, the calculation gives -0.36916 Ry/atom.


Record 2
## LiTi3S6 (PBE-GGA)

Data for a relaxed structure of LiTi3S6.

```
data_LiTi3S6
_chemical_formula_sum 'Li1 Ti3 S6'
_cell_length_a 3.421
_cell_length_b 3.421
_cell_length_c 21.582
_cell_angle_alpha 90.00
_cell_angle_beta 90.00
_cell_angle_gamma 120.00
_symmetry_space_group_name_H-M 'P 1'
_symmetry_Int_Tables_number 1
loop_
_symmetry_equiv_pos_as_xyz
'x,y,z'
loop_
_atom_site_label
_atom_site_type_symbol
_atom_site_fract_x
_atom_site_fract_y
_atom_site_fract_z
_atom_site_occupancy
S1 S 0.667 0.333 0.066 1
S2 S 0.667 0.333 0.710 1
S3 S 0.333 0.667 0.290 1
S4 S 0.667 0.333 0.424 1
S5 S 0.333 0.667 0.934 1
S6 S 0.333 0.667 0.576 1
Ti1 Ti 0.000 0.000 0.354 1
Ti2 Ti 0.000 0.000 0.000 1
Ti3 Ti 0.000 0.000 0.646 1
Li1 Li 0.000 0.000 0.500 1
```

## Properties
The symmetry is P-3m1. For the total energy, the calculation gives -0.46913 Ry/atom.


Record 3
## Li4TiS4 (PBE-GGA)

Data for a relaxed structure of Li4TiS4.

```
data_Li4TiS4
_chemical_formula_sum 'Li8 Ti2 S8'
_cell_length_a 6.698
_cell_length_b 6.698
_cell_length_c 7.824
_cell_angle_alpha 90.00
_cell_angle_beta 90.00
_cell_angle_gamma 92.53
_symmetry_space_group_name_H-M 'P 1'
_symmetry_Int_Tables_number 1
loop_
_symmetry_equiv_pos_as_xyz
'x,y,z'
loop_
_atom_site_label
_atom_site_type_symbol
_atom_site_fract_x
_atom_site_fract_y
_atom_site_fract_z
_atom_site_occupancy
Ti1 Ti 0.338 0.338 0.250 1
Ti2 Ti 0.662 0.662 0.750 1
S1 S 0.795 0.795 0.996 1
S2 S 0.795 0.795 0.504 1
S3 S 0.726 0.332 0.750 1
S4 S 0.274 0.668 0.250 1
S5 S 0.332 0.726 0.750 1
S6 S 0.205 0.205 0.496 1
S7 S 0.205 0.205 0.004 1
S8 S 0.668 0.274 0.250 1
Li1 Li 0.839 0.161 0.000 1
Li2 Li 0.416 0.109 0.750 1
Li3 Li 0.161 0.839 0.500 1
Li4 Li 0.109 0.416 0.750 1
Li5 Li 0.891 0.584 0.250 1
Li6 Li 0.161 0.839 0.000 1
Li7 Li 0.584 0.891 0.250 1
Li8 Li 0.839 0.161 0.500 1
```

## Properties
The symmetry is Cmcm. The magnetization comes out at 0.0 μB/f.u. For the total energy, the calculation gives -0.35744 Ry/atom.


Record 4
## Li3V4S8 (PBE-GGA)

Data for a relaxed structure of Li3V4S8.

```
data_Li3V4S8
_chemical_formula_sum 'Li3 V4 S8'
_cell_length_a 6.654
_cell_length_b 7.630
_cell_length_c 6.663
_cell_angle_alpha 64.03
_cell_angle_beta 60.04
_cell_angle_gamma 64.15
_symmetry_space_group_name_H-M 'P 1'
_symmetry_Int_Tables_number 1
loop_
_symmetry_equiv_pos_as_xyz
'x,y,z'
loop_
_atom_site_label
_atom_site_type_symbol
_atom_site_fract_x
_atom_site_fract_y
_atom_site_fract_z
_atom_site_occupancy
S1 S 0.728 0.795 0.241 1
S2 S 0.271 0.183 0.275 1
S3 S 0.236 0.795 0.241 1
S4 S 0.256 0.221 0.763 1
S5 S 0.750 0.745 0.756 1
S6 S 0.760 0.219 0.260 1
S7 S 0.760 0.221 0.763 1
S8 S 0.236 0.793 0.734 1
Li1 Li 0.343 0.433 0.345 1
Li2 Li 0.343 0.432 0.882 1
Li3 Li 0.879 0.433 0.345 1
V1 V 0.527 0.992 0.534 1
V2 V 0.947 0.992 0.534 1
V3 V 0.004 0.986 0.006 1
V4 V 0.528 0.993 0.952 1
```

## Properties
The symmetry is Cm. The magnetization comes out at 1.0 μB/f.u. For the total energy, the calculation gives -0.44376 Ry/atom.


Record 5
## LiVS3 (PBE-GGA)

Data for a relaxed structure of LiVS3.

```
data_LiVS3
_chemical_formula_sum 'Li2 V2 S6'
_cell_length_a 5.808
_cell_length_b 6.487
_cell_length_c 6.670
_cell_angle_alpha 109.88
_cell_angle_beta 93.71
_cell_angle_gamma 115.05
_symmetry_space_group_name_H-M 'P 1'
_symmetry_Int_Tables_number 1
loop_
_symmetry_equiv_pos_as_xyz
'x,y,z'
loop_
_atom_site_label
_atom_site_type_symbol
_atom_site_fract_x
_atom_site_fract_y
_atom_site_fract_z
_atom_site_occupancy
S1 S 0.174 0.259 0.446 1
S2 S 0.536 0.971 0.242 1
S3 S 0.464 0.029 0.758 1
S4 S 0.924 0.563 0.134 1
S5 S 0.826 0.741 0.554 1
S6 S 0.076 0.437 0.866 1
Li1 Li 0.529 0.685 0.828 1
Li2 Li 0.471 0.315 0.172 1
V1 V 0.214 0.933 0.434 1
V2 V 0.786 0.067 0.566 1
```

## Properties
The symmetry is P-1. The magnetization comes out at 1.0 μB/f.u. For the total energy, the calculation gives -0.40575 Ry/atom.


Record 6
## LiVS2 (PBE-GGA)

Data for a relaxed structure of LiVS2.

```
data_LiVS2
_chemical_formula_sum 'Li1 V1 S2'
_cell_length_a 3.481
_cell_length_b 3.481
_cell_length_c 6.049
_cell_angle_alpha 90.00
_cell_angle_beta 90.00
_cell_angle_gamma 120.00
_symmetry_space_group_name_H-M 'P 1'
_symmetry_Int_Tables_number 1
loop_
_symmetry_equiv_pos_as_xyz
'x,y,z'
loop_
_atom_site_label
_atom_site_type_symbol
_atom_site_fract_x
_atom_site_fract_y
_atom_site_fract_z
_atom_site_occupancy
S1 S 0.333 0.667 0.770 1
S2 S 0.667 0.333 0.230 1
Li1 Li 0.000 0.000 0.500 1
V1 V 0.000 0.000 0.000 1
```

## Properties
The symmetry is P-3m1. The magnetization comes out at 2.0 μB/f.u. For the total energy, the calculation gives -0.43373 Ry/atom.


Record 7
## Li3VS3 (PBE-GGA)

Data for a relaxed structure of Li3VS3.

```
data_Li3VS3
_chemical_formula_sum 'Li6 V2 S6'
_cell_length_a 6.762
_cell_length_b 6.762
_cell_length_c 6.762
_cell_angle_alpha 111.52
_cell_angle_beta 111.52
_cell_angle_gamma 111.52
_symmetry_space_group_name_H-M 'P 1'
_symmetry_Int_Tables_number 1
loop_
_symmetry_equiv_pos_as_xyz
'x,y,z'
loop_
_atom_site_label
_atom_site_type_symbol
_atom_site_fract_x
_atom_site_fract_y
_atom_site_fract_z
_atom_site_occupancy
S1 S 0.152 0.320 0.972 1
S2 S 0.652 0.472 0.820 1
S3 S 0.472 0.820 0.652 1
S4 S 0.320 0.972 0.152 1
S5 S 0.820 0.652 0.472 1
S6 S 0.972 0.152 0.320 1
Li1 Li 0.100 0.642 0.200 1
Li2 Li 0.142 0.600 0.700 1
Li3 Li 0.642 0.200 0.100 1
Li4 Li 0.700 0.142 0.600 1
Li5 Li 0.600 0.700 0.142 1
Li6 Li 0.200 0.100 0.642 1
V1 V 0.398 0.398 0.398 1
V2 V 0.898 0.898 0.898 1
```

## Properties
The symmetry is R3c. The magnetization comes out at 2.0 μB/f.u. For the total energy, the calculation gives -0.36900 Ry/atom.


Record 8
## LiVS2 (PBE-GGA)

Data for a relaxed structure of LiVS2.

```
data_LiVS2
_chemical_formula_sum 'Li1 V1 S2'
_cell_length_a 6.315
_cell_length_b 6.315
_cell_length_c 6.315
_cell_angle_alpha 32.22
_cell_angle_beta 32.22
_cell_angle_gamma 32.22
_symmetry_space_group_name_H-M 'P 1'
_symmetry_Int_Tables_number 1
loop_
_symmetry_equiv_pos_as_xyz
'x,y,z'
loop_
_atom_site_label
_atom_site_type_symbol
_atom_site_fract_x
_atom_site_fract_y
_atom_site_fract_z
_atom_site_occupancy
S1 S 0.757 0.757 0.757 1
S2 S 0.243 0.243 0.243 1
Li1 Li 0.000 0.000 0.000 1
V1 V 0.500 0.500 0.500 1
```

## Properties
The symmetry is R-3m. The magnetization comes out at 2.0 μB/f.u. For the total energy, the calculation gives -0.43237 Ry/atom.


Formation energy, record by record: -1.52, -1.64, -1.52, -1.30, -1.14, -1.34, -1.35, -1.32 eV per atom